No. 1
! Ta2VIr | the Materials Project | r²SCAN | relaxed; values from VASP
&SYSTEM
  ibrav = 0, nat = 4, ntyp = 3
/
ATOMIC_SPECIES
Ta 180.95 Ta.upf
Ir 192.22 Ir.upf
V 50.94 V.upf
CELL_PARAMETERS angstrom
0.000 3.158 3.158
3.158 0.000 3.158
3.158 3.158 0.000
ATOMIC_POSITIONS crystal
Ta 0.250 0.250 0.250
Ta 0.750 0.750 0.750
Ir 0.500 0.500 0.500
V 0.000 0.000 0.000
! Volume ... 62.96 Å³ per cell
! Energy of formation ... -41.79 kJ/mol of atoms
! VASP energy ... -165.4 eV per cell


No. 2
! Tb5Ir3 | the Materials Project | r²SCAN | relaxed; values from VASP
&SYSTEM
  ibrav = 0, nat = 32, ntyp = 2
/
ATOMIC_SPECIES
Tb 158.93 Tb.upf
Ir 192.22 Ir.upf
CELL_PARAMETERS angstrom
-3.994 4.969 -0.385
-6.631 -5.824 -6.356
-5.296 -3.575 8.801
ATOMIC_POSITIONS crystal
Tb 0.115 0.458 0.161
Tb 0.385 0.958 0.839
Tb 0.885 0.542 0.839
Tb 0.385 0.839 0.542
Tb 0.885 0.839 0.958
Tb 0.385 0.542 0.661
Tb 0.885 0.661 0.542
Tb 0.615 0.042 0.161
Tb 0.615 0.162 0.458
Tb 0.500 0.250 0.750
Tb 0.115 0.042 0.339
Tb 0.615 0.458 0.339
Tb 0.885 0.958 0.661
Tb 0.000 0.750 0.250
Tb 0.115 0.162 0.042
Tb 0.385 0.661 0.958
Tb 0.615 0.338 0.042
Tb 0.500 0.750 0.250
Tb 0.000 0.250 0.750
Tb 0.115 0.338 0.458
Ir 0.750 0.596 0.096
Ir 0.750 0.097 0.904
Ir 0.371 0.250 0.250
Ir 0.871 0.250 0.250
Ir 0.250 0.403 0.904
Ir 0.750 0.904 0.403
Ir 0.629 0.750 0.750
Ir 0.129 0.750 0.750
Ir 0.250 0.904 0.097
Ir 0.750 0.403 0.596
Ir 0.250 0.097 0.596
Ir 0.250 0.596 0.403
! Volume ... 755.55 Å³ per cell
! Excess energy over the best structure of this formula in the dataset ... 0.00 kJ per mole of atoms
! Energy of formation ... -86.73 kJ/mol of atoms
! VASP energy ... -1281.6 eV per cell